Record 1
{"formula": "Ba9Au2O12", "functional": "GGA-PBE", "state": "relaxed", "e_form_mev_per_atom": -2464, "magnetic_moment_mub_per_cell": 0.01, "lattice_angstrom": [[-2.138, 6.270, -2.919], [-13.592, -2.858, 3.819], [2.618, 8.026, 15.324]], "species": ["Au", "Au", "Au", "Au", "Au", "Au", "Au", "Au", "Ba", "Ba", "Ba", "Ba", "Ba", "Ba", "Ba", "Ba", "Ba", "Ba", "Ba", "Ba", "Ba", "Ba", "Ba", "Ba", "Ba", "Ba", "Ba", "Ba", "Ba", "Ba", "Ba", "Ba", "Ba", "Ba", "Ba", "Ba", "Ba", "Ba", "Ba", "Ba", "Ba", "Ba", "Ba", "Ba", "O", "O", "O", "O", "O", "O", "O", "O", "O", "O", "O", "O", "O", "O", "O", "O", "O", "O", "O", "O", "O", "O", "O", "O", "O", "O", "O", "O", "O", "O", "O", "O", "O", "O", "O", "O", "O", "O", "O", "O", "O", "O", "O", "O", "O", "O", "O", "O"], "frac_coords": [[0.419, 0.564, 0.416], [0.581, 0.436, 0.584], [0.081, 0.064, 0.916], [0.419, 0.564, 0.084], [0.081, 0.064, 0.584], [0.919, 0.936, 0.416], [0.581, 0.436, 0.916], [0.919, 0.936, 0.084], [0.683, 0.678, 0.943], [0.968, 0.313, 0.858], [0.183, 0.822, 0.943], [0.844, 0.818, 0.750], [0.608, 0.600, 0.250], [0.532, 0.813, 0.142], [0.331, 0.051, 0.079], [0.327, 0.937, 0.750], [0.831, 0.449, 0.421], [0.108, 0.900, 0.250], [0.831, 0.449, 0.079], [0.344, 0.682, 0.750], [0.331, 0.051, 0.421], [0.173, 0.437, 0.250], [0.032, 0.687, 0.358], [0.468, 0.187, 0.642], [0.317, 0.322, 0.057], [0.468, 0.187, 0.858], [0.817, 0.178, 0.443], [0.532, 0.813, 0.358], [0.669, 0.949, 0.921], [0.392, 0.400, 0.750], [0.156, 0.182, 0.250], [0.968, 0.313, 0.642], [0.169, 0.551, 0.579], [0.817, 0.178, 0.057], [0.673, 0.063, 0.250], [0.683, 0.678, 0.557], [0.183, 0.822, 0.557], [0.669, 0.949, 0.579], [0.656, 0.318, 0.250], [0.032, 0.687, 0.142], [0.827, 0.563, 0.750], [0.317, 0.322, 0.443], [0.892, 0.100, 0.750], [0.169, 0.551, 0.921], [0.663, 0.992, 0.075], [0.337, 0.676, 0.480], [0.504, 0.548, 0.847], [0.488, 0.200, 0.345], [0.163, 0.176, 0.520], [0.837, 0.824, 0.020], [0.663, 0.324, 0.520], [0.323, 0.377, 0.595], [0.504, 0.548, 0.653], [0.163, 0.176, 0.980], [0.823, 0.123, 0.905], [0.496, 0.452, 0.153], [0.488, 0.200, 0.155], [0.677, 0.623, 0.095], [0.496, 0.452, 0.347], [0.443, 0.946, 0.250], [0.337, 0.676, 0.020], [0.004, 0.952, 0.847], [0.663, 0.324, 0.980], [0.012, 0.700, 0.845], [0.177, 0.877, 0.405], [0.988, 0.300, 0.345], [0.677, 0.623, 0.405], [0.177, 0.877, 0.095], [0.204, 0.228, 0.750], [0.837, 0.824, 0.480], [0.004, 0.952, 0.653], [0.663, 0.992, 0.425], [0.512, 0.800, 0.655], [0.337, 0.008, 0.925], [0.163, 0.508, 0.425], [0.704, 0.272, 0.750], [0.296, 0.728, 0.250], [0.837, 0.492, 0.575], [0.823, 0.123, 0.595], [0.988, 0.300, 0.155], [0.512, 0.800, 0.845], [0.996, 0.048, 0.153], [0.943, 0.554, 0.250], [0.337, 0.008, 0.575], [0.163, 0.508, 0.075], [0.837, 0.492, 0.925], [0.323, 0.377, 0.905], [0.996, 0.048, 0.347], [0.557, 0.054, 0.750], [0.057, 0.446, 0.750], [0.796, 0.772, 0.250], [0.012, 0.700, 0.655]]}


Record 2
{"formula": "BaPAu", "functional": "GGA-PBE", "state": "relaxed", "e_form_mev_per_atom": -876, "lattice_angstrom": [[-2.235, -3.871, 0.000], [-2.235, 3.871, 0.000], [0.000, 0.000, -9.184]], "species": ["P", "P", "Ba", "Ba", "Au", "Au"], "frac_coords": [[0.667, 0.333, 0.250], [0.333, 0.667, 0.750], [0.000, 0.000, 0.500], [0.000, 0.000, 0.000], [0.333, 0.667, 0.250], [0.667, 0.333, 0.750]]}


Record 3
{"formula": "Ba4P15Au8", "functional": "GGA-PBE", "state": "relaxed", "e_form_mev_per_atom": -464, "magnetic_moment_mub_per_cell": 0.01, "lattice_angstrom": [[3.781, 2.071, -9.711], [10.093, 9.179, 5.887], [18.903, -22.437, 2.575]], "species": ["Au", "Au", "Au", "Au", "Au", "Au", "Au", "Au", "Au", "Au", "Au", "Au", "Au", "Au", "Au", "Au", "Au", "Au", "Au", "Au", "Au", "Au", "Au", "Au", "Au", "Au", "Au", "Au", "Au", "Au", "Au", "Au", "Au", "Au", "Au", "Au", "Au", "Au", "Au", "Au", "Au", "Au", "Au", "Au", "Au", "Au", "Au", "Au", "Au", "Au", "Au", "Au", "Au", "Au", "Au", "Au", "Au", "Au", "Au", "Au", "Au", "Au", "Au", "Au", "Ba", "Ba", "Ba", "Ba", "Ba", "Ba", "Ba", "Ba", "Ba", "Ba", "Ba", "Ba", "Ba", "Ba", "Ba", "Ba", "Ba", "Ba", "Ba", "Ba", "Ba", "Ba", "Ba", "Ba", "Ba", "Ba", "Ba", "Ba", "Ba", "Ba", "Ba", "Ba", "P", "P", "P", "P", "P", "P", "P", "P", "P", "P", "P", "P", "P", "P", "P", "P", "P", "P", "P", "P", "P", "P", "P", "P", "P", "P", "P", "P", "P", "P", "P", "P", "P", "P", "P", "P", "P", "P", "P", "P", "P", "P", "P", "P", "P", "P", "P", "P", "P", "P", "P", "P", "P", "P", "P", "P", "P", "P", "P", "P", "P", "P", "P", "P", "P", "P", "P", "P", "P", "P", "P", "P", "P", "P", "P", "P", "P", "P", "P", "P", "P", "P", "P", "P", "P", "P", "P", "P", "P", "P", "P", "P", "P", "P", "P", "P", "P", "P", "P", "P", "P", "P", "P", "P", "P", "P", "P", "P", "P", "P", "P", "P", "P", "P", "P", "P", "P", "P", "P", "P"], "frac_coords": [[0.380, 0.652, 0.327], [0.615, 0.840, 0.420], [0.501, 0.879, 0.189], [0.816, 0.052, 0.468], [0.385, 0.160, 0.580], [0.490, 0.216, 0.953], [0.885, 0.660, 0.920], [0.682, 0.999, 0.906], [0.318, 0.001, 0.094], [0.115, 0.340, 0.080], [0.316, 0.448, 0.468], [0.620, 0.348, 0.673], [0.499, 0.121, 0.811], [0.990, 0.284, 0.953], [0.499, 0.879, 0.689], [0.184, 0.052, 0.968], [0.506, 0.400, 0.358], [0.682, 0.001, 0.594], [0.182, 0.499, 0.594], [0.811, 0.186, 0.749], [0.506, 0.600, 0.142], [0.189, 0.186, 0.249], [0.184, 0.948, 0.532], [0.684, 0.552, 0.532], [0.620, 0.652, 0.827], [0.818, 0.501, 0.406], [0.880, 0.152, 0.173], [0.010, 0.284, 0.453], [0.811, 0.814, 0.751], [0.120, 0.848, 0.827], [0.120, 0.152, 0.673], [0.994, 0.900, 0.642], [0.494, 0.400, 0.858], [0.311, 0.686, 0.751], [0.501, 0.121, 0.311], [0.189, 0.814, 0.251], [0.684, 0.448, 0.968], [0.115, 0.660, 0.420], [0.510, 0.784, 0.047], [0.990, 0.716, 0.547], [0.380, 0.348, 0.173], [0.689, 0.314, 0.249], [0.494, 0.600, 0.642], [0.006, 0.100, 0.358], [0.999, 0.379, 0.811], [0.001, 0.379, 0.311], [0.316, 0.552, 0.032], [0.182, 0.501, 0.906], [0.818, 0.499, 0.094], [0.816, 0.948, 0.032], [0.994, 0.100, 0.858], [0.510, 0.216, 0.453], [0.880, 0.848, 0.327], [0.615, 0.160, 0.080], [0.006, 0.900, 0.142], [0.001, 0.621, 0.189], [0.689, 0.686, 0.251], [0.010, 0.716, 0.047], [0.885, 0.340, 0.580], [0.999, 0.621, 0.689], [0.311, 0.314, 0.749], [0.490, 0.784, 0.547], [0.385, 0.840, 0.920], [0.318, 0.999, 0.406], [0.505, 0.500, 0.250], [0.495, 0.500, 0.750], [0.008, 0.876, 0.440], [0.244, 0.250, 0.876], [0.491, 0.876, 0.313], [0.000, 0.500, 0.000], [0.492, 0.376, 0.560], [0.509, 0.124, 0.687], [0.492, 0.624, 0.940], [0.995, 0.000, 0.750], [0.256, 0.750, 0.124], [0.009, 0.376, 0.687], [0.744, 0.250, 0.876], [0.244, 0.750, 0.624], [0.509, 0.876, 0.813], [0.756, 0.250, 0.376], [0.991, 0.376, 0.187], [0.008, 0.124, 0.060], [0.000, 0.500, 0.500], [0.500, 0.000, 0.000], [0.508, 0.376, 0.060], [0.992, 0.124, 0.560], [0.991, 0.624, 0.313], [0.756, 0.750, 0.124], [0.500, 0.000, 0.500], [0.009, 0.624, 0.813], [0.992, 0.876, 0.940], [0.508, 0.624, 0.440], [0.256, 0.250, 0.376], [0.491, 0.124, 0.187], [0.744, 0.750, 0.624], [0.005, 0.000, 0.250], [0.193, 0.549, 0.722], [0.810, 0.312, 0.500], [0.131, 0.852, 0.330], [0.002, 0.788, 0.704], [0.826, 0.183, 0.256], [0.210, 0.433, 0.284], [0.790, 0.567, 0.716], [0.822, 0.503, 0.597], [0.631, 0.648, 0.330], [0.678, 0.003, 0.403], [0.489, 0.094, 0.894], [0.243, 0.257, 0.625], [0.998, 0.212, 0.296], [0.812, 0.993, 0.839], [0.302, 0.188, 0.003], [0.812, 0.007, 0.661], [0.018, 0.879, 0.059], [0.807, 0.549, 0.222], [0.243, 0.743, 0.875], [0.131, 0.148, 0.170], [0.188, 0.007, 0.161], [0.631, 0.352, 0.170], [0.309, 0.509, 0.158], [0.691, 0.509, 0.658], [0.698, 0.188, 0.503], [0.128, 0.338, 0.576], [0.869, 0.148, 0.670], [0.790, 0.433, 0.784], [0.174, 0.817, 0.744], [0.178, 0.497, 0.403], [0.804, 0.932, 0.529], [0.198, 0.688, 0.997], [0.290, 0.067, 0.784], [0.678, 0.997, 0.097], [0.982, 0.879, 0.559], [0.210, 0.567, 0.216], [0.302, 0.812, 0.497], [0.688, 0.493, 0.161], [0.518, 0.379, 0.441], [0.193, 0.451, 0.778], [0.310, 0.188, 0.500], [0.628, 0.162, 0.576], [0.307, 0.049, 0.278], [0.322, 0.003, 0.903], [0.674, 0.683, 0.744], [0.802, 0.312, 0.003], [0.696, 0.432, 0.471], [0.290, 0.933, 0.716], [0.511, 0.094, 0.394], [0.804, 0.068, 0.971], [0.190, 0.312, 0.000], [0.498, 0.288, 0.296], [0.312, 0.507, 0.839], [0.690, 0.188, 0.000], [0.690, 0.812, 0.500], [0.872, 0.338, 0.076], [0.309, 0.491, 0.342], [0.372, 0.838, 0.424], [0.809, 0.991, 0.158], [0.502, 0.712, 0.704], [0.482, 0.621, 0.559], [0.002, 0.212, 0.796], [0.696, 0.568, 0.029], [0.310, 0.812, 0.000], [0.191, 0.009, 0.842], [0.312, 0.493, 0.661], [0.628, 0.838, 0.924], [0.198, 0.312, 0.503], [0.688, 0.507, 0.339], [0.757, 0.743, 0.375], [0.489, 0.906, 0.606], [0.743, 0.757, 0.875], [0.802, 0.688, 0.497], [0.998, 0.788, 0.204], [0.807, 0.451, 0.278], [0.872, 0.662, 0.424], [0.822, 0.497, 0.903], [0.188, 0.993, 0.339], [0.190, 0.688, 0.500], [0.326, 0.317, 0.256], [0.369, 0.648, 0.830], [0.257, 0.757, 0.375], [0.691, 0.491, 0.842], [0.326, 0.683, 0.244], [0.178, 0.503, 0.097], [0.809, 0.009, 0.342], [0.372, 0.162, 0.076], [0.011, 0.406, 0.394], [0.693, 0.951, 0.722], [0.982, 0.121, 0.941], [0.826, 0.817, 0.244], [0.698, 0.812, 0.997], [0.498, 0.712, 0.204], [0.743, 0.243, 0.625], [0.304, 0.568, 0.529], [0.174, 0.183, 0.756], [0.757, 0.257, 0.125], [0.196, 0.068, 0.471], [0.018, 0.121, 0.441], [0.128, 0.662, 0.924], [0.257, 0.243, 0.125], [0.307, 0.951, 0.222], [0.710, 0.933, 0.216], [0.511, 0.906, 0.106], [0.693, 0.049, 0.778], [0.191, 0.991, 0.658], [0.304, 0.432, 0.971], [0.989, 0.406, 0.894], [0.518, 0.621, 0.059], [0.322, 0.997, 0.597], [0.482, 0.379, 0.941], [0.674, 0.317, 0.756], [0.710, 0.067, 0.284], [0.011, 0.594, 0.106], [0.196, 0.932, 0.029], [0.989, 0.594, 0.606], [0.369, 0.352, 0.670], [0.869, 0.852, 0.830], [0.810, 0.688, 0.000], [0.502, 0.288, 0.796]]}


Record 4
{"formula": "Ba2PtAu", "functional": "GGA-PBE", "state": "relaxed", "e_form_mev_per_atom": -730, "lattice_angstrom": [[2.251, -6.040, 0.000], [2.251, 6.040, 0.000], [0.000, 0.000, 4.847]], "species": ["Au", "Ba", "Ba", "Pt"], "frac_coords": [[0.576, 0.424, 0.000], [0.863, 0.137, 0.000], [0.137, 0.863, 0.500], [0.424, 0.576, 0.500]]}


Record 5
{"formula": "Ba2PtAu", "functional": "GGA-PBE", "state": "relaxed", "e_form_mev_per_atom": -733, "magnetic_moment_mub_per_cell": 0.03, "lattice_angstrom": [[-2.881, 2.973, 2.526], [0.023, -7.802, 9.210], [10.839, 6.121, 5.158]], "species": ["Pt", "Pt", "Pt", "Pt", "Pt", "Pt", "Ba", "Ba", "Ba", "Ba", "Ba", "Ba", "Ba", "Ba", "Ba", "Ba", "Ba", "Ba", "Au", "Au", "Au", "Au", "Au", "Au"], "frac_coords": [[0.500, 0.075, 0.417], [0.500, 0.575, 0.583], [0.000, 0.425, 0.916], [0.000, 0.925, 0.084], [0.000, 0.924, 0.749], [0.000, 0.424, 0.251], [0.000, 0.642, 0.745], [0.500, 0.367, 0.756], [0.500, 0.864, 0.918], [0.000, 0.639, 0.084], [0.500, 0.858, 0.588], [0.500, 0.358, 0.412], [0.500, 0.364, 0.082], [0.000, 0.632, 0.421], [0.000, 0.139, 0.916], [0.000, 0.132, 0.579], [0.500, 0.867, 0.244], [0.000, 0.142, 0.255], [0.500, 0.577, 0.918], [0.500, 0.074, 0.750], [0.500, 0.077, 0.082], [0.000, 0.923, 0.415], [0.500, 0.574, 0.250], [0.000, 0.423, 0.585]]}


Record 6
{"formula": "Ba4Si21Au2", "functional": "GGA-PBE", "state": "relaxed", "e_form_mev_per_atom": -239, "magnetic_moment_mub_per_cell": 0.01, "lattice_angstrom": [[5.882, 5.489, -6.744], [-8.499, 5.362, -3.038], [1.846, 7.121, 7.405]], "species": ["Si", "Si", "Si", "Si", "Si", "Si", "Si", "Si", "Si", "Si", "Si", "Si", "Si", "Si", "Si", "Si", "Si", "Si", "Si", "Si", "Si", "Si", "Si", "Si", "Si", "Si", "Si", "Si", "Si", "Si", "Si", "Si", "Si", "Si", "Si", "Si", "Si", "Si", "Si", "Si", "Si", "Si", "Ba", "Ba", "Ba", "Ba", "Ba", "Ba", "Ba", "Ba", "Au", "Au", "Au", "Au"], "frac_coords": [[0.803, 0.999, 0.133], [0.118, 0.501, 0.056], [0.382, 0.305, 0.250], [0.685, 0.814, 0.434], [0.803, 0.999, 0.367], [0.694, 0.384, 0.750], [0.999, 0.803, 0.867], [0.183, 0.685, 0.935], [0.184, 0.317, 0.565], [0.305, 0.619, 0.750], [0.617, 0.693, 0.250], [0.184, 0.317, 0.935], [0.685, 0.183, 0.435], [0.814, 0.318, 0.565], [0.183, 0.685, 0.565], [0.199, 0.999, 0.132], [0.814, 0.685, 0.934], [0.999, 0.803, 0.633], [0.199, 0.999, 0.368], [0.881, 0.501, 0.056], [0.693, 0.617, 0.750], [0.384, 0.694, 0.250], [0.118, 0.501, 0.444], [0.999, 0.199, 0.868], [0.881, 0.501, 0.444], [0.501, 0.881, 0.944], [0.318, 0.814, 0.435], [0.814, 0.318, 0.935], [0.305, 0.382, 0.750], [0.501, 0.118, 0.556], [0.318, 0.814, 0.065], [0.685, 0.814, 0.066], [0.317, 0.184, 0.065], [0.814, 0.685, 0.566], [0.619, 0.305, 0.250], [0.501, 0.118, 0.944], [0.685, 0.183, 0.065], [0.501, 0.881, 0.556], [0.750, 0.499, 0.250], [0.499, 0.750, 0.750], [0.999, 0.199, 0.632], [0.317, 0.184, 0.435], [0.759, 0.011, 0.750], [0.489, 0.489, 0.500], [0.012, 0.240, 0.250], [0.489, 0.489, 0.000], [0.499, 0.001, 0.250], [0.001, 0.499, 0.750], [0.011, 0.759, 0.250], [0.240, 0.012, 0.750], [0.251, 0.500, 0.250], [0.000, 0.000, 0.000], [0.500, 0.251, 0.750], [0.000, 0.000, 0.500]]}